# 1
{"formula": "Li3CrPCO7", "functional": "PBE+U", "state": "relaxed", "lattice": [[6.453, 0.000, 0.000], [-0.032, 8.684, 0.000], [-0.017, -0.807, 9.943]], "species": ["Li", "Li", "Li", "Li", "Li", "Li", "Li", "Li", "Li", "Li", "Li", "Li", "Cr", "Cr", "Cr", "Cr", "P", "P", "P", "P", "C", "C", "C", "C", "O", "O", "O", "O", "O", "O", "O", "O", "O", "O", "O", "O", "O", "O", "O", "O", "O", "O", "O", "O", "O", "O", "O", "O", "O", "O", "O", "O"], "frac_coords": [[0.000, 0.000, 0.000], [0.001, 0.454, 0.715], [0.219, 0.826, 0.743], [0.223, 0.831, 0.249], [0.263, 0.379, 0.981], [0.266, 0.379, 0.503], [0.489, 0.218, 0.725], [0.495, 0.211, 0.240], [0.731, 0.379, 0.505], [0.773, 0.831, 0.248], [0.779, 0.823, 0.742], [0.999, 0.003, 0.507], [0.001, 0.441, 0.237], [0.496, 0.768, 0.012], [0.498, 0.770, 0.515], [0.754, 0.366, 0.972], [0.497, 0.514, 0.757], [0.498, 0.517, 0.259], [0.996, 0.692, 0.975], [0.998, 0.690, 0.477], [0.499, 0.072, 0.472], [0.502, 0.071, 0.970], [0.996, 0.139, 0.768], [0.998, 0.134, 0.266], [0.001, 0.251, 0.358], [0.184, 0.786, 0.036], [0.185, 0.791, 0.534], [0.308, 0.418, 0.705], [0.312, 0.417, 0.201], [0.491, 0.953, 0.883], [0.497, 0.524, 0.916], [0.498, 0.045, 0.597], [0.498, 0.682, 0.714], [0.499, 0.212, 0.436], [0.499, 0.524, 0.415], [0.499, 0.954, 0.381], [0.500, 0.682, 0.212], [0.502, 0.053, 0.096], [0.513, 0.211, 0.926], [0.687, 0.418, 0.203], [0.690, 0.419, 0.708], [0.810, 0.791, 0.032], [0.812, 0.790, 0.534], [0.991, 0.525, 0.024], [0.994, 0.161, 0.141], [0.996, 0.995, 0.800], [0.997, 0.250, 0.867], [0.998, 0.172, 0.646], [0.998, 0.525, 0.520], [0.998, 0.994, 0.303], [0.999, 0.679, 0.820], [0.999, 0.685, 0.321]], "crystal_system": "triclinic", "final_energy_ev_per_cell": -355.21, "delta_e_f_ev_per_atom": -2.3809, "spacegroup": "P1", "total_magnetization_mub_per_fu": 4.00, "relative_energy_mev_per_atom": 9}

***

# 2
{"formula": "Li3CrPCO7", "functional": "PBE+U", "state": "relaxed", "lattice": [[6.476, 0.000, 0.000], [-0.041, 8.695, 0.000], [-0.047, -0.857, 9.978]], "species": ["Li", "Li", "Li", "Li", "Li", "Li", "Li", "Li", "Li", "Li", "Li", "Li", "Cr", "Cr", "Cr", "Cr", "P", "P", "P", "P", "C", "C", "C", "C", "O", "O", "O", "O", "O", "O", "O", "O", "O", "O", "O", "O", "O", "O", "O", "O", "O", "O", "O", "O", "O", "O", "O", "O", "O", "O", "O", "O"], "frac_coords": [[0.000, 0.000, 0.000], [0.001, 0.014, 0.476], [0.007, 0.551, 0.249], [0.217, 0.178, 0.245], [0.223, 0.173, 0.747], [0.272, 0.626, 0.017], [0.275, 0.608, 0.489], [0.484, 0.789, 0.257], [0.498, 0.785, 0.766], [0.730, 0.629, 0.021], [0.774, 0.176, 0.748], [0.776, 0.176, 0.245], [0.493, 0.235, 0.475], [0.498, 0.234, 0.980], [0.778, 0.654, 0.490], [0.996, 0.565, 0.782], [0.493, 0.487, 0.740], [0.497, 0.488, 0.239], [0.996, 0.313, 0.515], [0.998, 0.310, 0.016], [0.499, 0.932, 0.022], [0.505, 0.934, 0.522], [0.990, 0.869, 0.724], [0.993, 0.859, 0.230], [0.000, 0.853, 0.849], [0.003, 0.480, 0.470], [0.180, 0.215, 0.455], [0.184, 0.212, 0.959], [0.310, 0.586, 0.290], [0.310, 0.587, 0.800], [0.484, 0.479, 0.585], [0.489, 0.053, 0.609], [0.494, 0.321, 0.784], [0.495, 0.321, 0.283], [0.498, 0.794, 0.063], [0.499, 0.954, 0.897], [0.500, 0.052, 0.111], [0.500, 0.950, 0.396], [0.505, 0.479, 0.084], [0.528, 0.796, 0.566], [0.682, 0.584, 0.796], [0.690, 0.582, 0.295], [0.807, 0.217, 0.457], [0.812, 0.212, 0.957], [0.985, 0.739, 0.642], [0.988, 0.000, 0.675], [0.988, 0.832, 0.355], [0.994, 0.748, 0.136], [0.998, 0.004, 0.199], [0.998, 0.317, 0.670], [0.998, 0.321, 0.171], [0.999, 0.476, 0.971]], "crystal_system": "triclinic", "final_energy_ev_per_cell": -355.48, "delta_e_f_ev_per_atom": -2.3862, "spacegroup": "P1", "total_magnetization_mub_per_fu": 4.00, "relative_energy_mev_per_atom": 4}